DFT (PBE) results for an optimized crystal structure of Hf2N2O.

Its formation energy is -2.38 eV/atom. The value obtained for the total energy after the MP2020 corrections is -427.66 eV per cell. Its crystal system is triclinic.

Cell and atoms, written as POSCAR:
```
Hf2N2O
1.0
-5.062 5.057 5.046
5.067 -5.048 5.042
5.027 5.013 -5.037
Hf N O
16 16 8
direct
0.489 0.990 0.989
0.756 0.293 0.544
0.721 0.472 0.249
0.212 0.954 0.250
0.250 0.215 0.956
0.972 0.266 0.224
0.997 0.509 0.996
0.503 0.509 0.513
0.010 0.998 0.508
0.026 0.741 0.774
0.466 0.250 0.722
0.534 0.749 0.283
0.744 0.778 0.036
0.781 0.031 0.745
0.286 0.537 0.751
0.251 0.715 0.464
0.511 0.239 0.972
0.767 0.537 0.526
0.726 0.256 0.768
0.236 0.968 0.508
0.771 0.727 0.262
0.492 0.768 0.036
0.958 0.732 0.991
0.963 0.506 0.236
0.274 0.739 0.225
0.228 0.450 0.463
0.549 0.533 0.773
0.540 0.774 0.549
0.990 0.959 0.731
0.225 0.273 0.741
0.032 0.485 0.758
0.262 0.778 0.728
0.731 0.997 0.959
0.282 0.015 0.054
0.760 0.034 0.485
0.744 0.218 0.276
0.461 0.225 0.446
0.049 0.270 0.019
0.444 0.466 0.222
0.005 0.045 0.270
```



DFT (PBE) results for an optimized crystal structure of Hf3N2O3.

Its formation energy is -3.02 eV/atom. The value obtained for the total energy after the MP2020 corrections is -171.12 eV per cell. Its crystal system is monoclinic. Its relative energy among the computed polymorphs is 0 meV per atom. The calculation puts the largest piezoelectric modulus at 0.46 C/m2.

Cell and atoms, written as POSCAR:
```
Hf3N2O3
1.0
2.025 5.252 0.000
-2.025 5.252 0.000
0.000 0.058 10.573
Hf N O
6 4 6
direct
0.855 0.855 0.565
0.853 0.853 0.937
0.807 0.807 0.248
0.192 0.192 0.757
0.142 0.142 0.059
0.138 0.138 0.438
0.700 0.700 0.427
0.697 0.697 0.081
0.762 0.762 0.744
0.299 0.299 0.926
0.955 0.955 0.117
0.957 0.957 0.381
0.047 0.047 0.613
0.044 0.044 0.884
0.307 0.307 0.571
0.245 0.245 0.252
```



DFT (PBE) results for an optimized crystal structure of Hf2N2O.

Its formation energy is -2.39 eV/atom. The value obtained for the total energy after the MP2020 corrections is -427.83 eV per cell. Its crystal system is triclinic.

Cell and atoms, written as POSCAR:
```
Hf2N2O
1.0
8.706 0.000 0.000
-2.897 8.230 0.000
-2.892 -4.088 7.149
Hf N O
16 16 8
direct
0.010 0.497 0.996
0.748 0.532 0.289
0.224 0.754 0.473
0.704 0.743 0.958
0.255 0.963 0.213
0.043 0.293 0.257
0.998 0.005 0.508
0.492 0.998 0.997
0.965 0.713 0.740
0.529 0.793 0.249
0.512 0.510 0.517
0.464 0.216 0.758
0.752 0.032 0.783
0.283 0.245 0.027
0.789 0.250 0.531
0.249 0.464 0.713
0.034 0.264 0.993
0.549 0.276 0.036
0.268 0.725 0.236
0.469 0.958 0.726
0.013 0.771 0.540
0.458 0.730 0.967
0.271 0.542 0.505
0.985 0.221 0.446
0.224 0.232 0.769
0.761 0.988 0.534
0.530 0.046 0.273
0.740 0.773 0.733
0.516 0.464 0.739
0.224 0.967 0.957
0.723 0.452 0.483
0.044 0.512 0.775
0.949 0.484 0.224
0.961 0.736 0.019
0.771 0.759 0.226
0.238 0.016 0.461
0.263 0.228 0.276
0.730 0.277 0.765
0.774 0.035 0.048
0.490 0.535 0.261
```



DFT (PBE) results for an optimized crystal structure of Hf2N2O.

The value obtained for the size of the total moment is 0.000 μB/atom. Its formation energy is -2.29 eV/atom. The value obtained for the total energy after the MP2020 corrections is -212.02 eV per cell. Its crystal system is monoclinic.

Cell and atoms, written as POSCAR:
```
Hf2N2O
1.0
-0.311 -6.768 0.314
1.874 -0.342 -5.511
5.607 -0.170 1.888
Hf N O
8 8 4
direct
0.119 0.746 0.422
0.133 0.230 0.093
0.367 0.230 0.593
0.381 0.746 0.922
0.633 0.770 0.407
0.619 0.254 0.078
0.881 0.254 0.578
0.867 0.770 0.907
0.127 0.996 0.741
0.133 0.368 0.413
0.373 0.996 0.241
0.367 0.368 0.913
0.627 0.004 0.759
0.633 0.632 0.087
0.867 0.632 0.587
0.873 0.004 0.259
0.117 0.653 0.081
0.383 0.653 0.581
0.617 0.347 0.419
0.883 0.347 0.919
```



DFT (PBE) results for an optimized crystal structure of Hf2N2O.

Its formation energy is -2.39 eV/atom. The value obtained for the total energy after the MP2020 corrections is -427.71 eV per cell. Its crystal system is triclinic.

Cell and atoms, written as POSCAR:
```
Hf2N2O
1.0
8.711 0.000 0.000
-2.895 8.231 0.000
-2.923 -4.082 7.142
Hf N O
16 16 8
direct
0.971 0.749 0.726
0.501 0.509 0.511
0.781 0.532 0.244
0.713 0.963 0.749
0.259 0.218 0.961
0.250 0.706 0.464
0.996 0.008 0.497
0.535 0.251 0.784
0.473 0.747 0.214
0.003 0.489 0.993
0.742 0.789 0.029
0.749 0.282 0.540
0.294 0.039 0.252
0.215 0.463 0.750
0.502 0.000 0.012
0.031 0.257 0.287
0.538 0.276 0.047
0.990 0.462 0.230
0.507 0.741 0.467
0.742 0.724 0.772
0.225 0.960 0.968
0.268 0.230 0.724
0.009 0.543 0.771
0.489 0.265 0.534
0.732 0.760 0.271
0.465 0.727 0.950
0.774 0.226 0.765
0.239 0.464 0.017
0.950 0.222 0.482
0.543 0.031 0.272
0.274 0.512 0.545
0.774 0.045 0.033
0.450 0.966 0.724
0.050 0.776 0.521
0.041 0.991 0.267
0.729 0.492 0.452
0.258 0.269 0.228
0.959 0.007 0.729
0.219 0.775 0.236
0.760 0.533 0.985
```



DFT (PBE) results for an optimized crystal structure of Hf2N2O.

The value obtained for the size of the total moment is 0.000 μB/atom. Its formation energy is -2.31 eV/atom. The value obtained for the total energy after the MP2020 corrections is -212.42 eV per cell. Its crystal system is monoclinic.

Cell and atoms, written as POSCAR:
```
Hf2N2O
1.0
2.718 4.775 0.000
-2.718 4.775 0.000
0.000 3.288 9.780
Hf N O
8 8 4
direct
0.418 0.179 0.590
0.906 0.674 0.087
0.326 0.094 0.913
0.170 0.951 0.340
0.821 0.582 0.410
0.049 0.830 0.660
0.679 0.435 0.839
0.565 0.321 0.161
0.836 0.862 0.505
0.675 0.116 0.757
0.884 0.325 0.243
0.138 0.164 0.495
0.330 0.378 0.002
0.083 0.412 0.749
0.588 0.917 0.251
0.622 0.670 0.998
0.381 0.813 0.741
0.447 0.553 0.500
0.934 0.066 0.000
0.187 0.619 0.259
```



DFT (PBE) results for an optimized crystal structure of Hf2N2O.

The value obtained for the size of the total moment is 0.000 μB/atom. Its formation energy is -2.29 eV/atom. The value obtained for the total energy after the MP2020 corrections is -106.02 eV per cell. Its crystal system is monoclinic.

Cell and atoms, written as POSCAR:
```
Hf2N2O
1.0
3.437 0.000 0.000
0.000 4.273 0.000
0.000 1.529 8.543
Hf N O
4 4 2
direct
0.250 0.788 0.894
0.250 0.625 0.329
0.750 0.375 0.671
0.750 0.212 0.106
0.750 0.828 0.751
0.750 0.716 0.097
0.250 0.284 0.903
0.250 0.172 0.249
0.250 0.312 0.561
0.750 0.688 0.439
```



DFT (PBE) results for an optimized crystal structure of Hf2N2O.

Its formation energy is -2.39 eV/atom. The value obtained for the total energy after the MP2020 corrections is -427.69 eV per cell. Its crystal system is triclinic.

Cell and atoms, written as POSCAR:
```
Hf2N2O
1.0
8.714 0.000 0.000
-2.884 8.233 0.000
-2.911 -4.110 7.151
Hf N O
16 16 8
direct
0.786 0.037 0.751
0.003 0.999 0.510
0.758 0.218 0.469
0.241 0.275 0.030
0.469 0.757 0.223
0.968 0.746 0.711
0.489 0.998 0.982
0.278 0.529 0.736
0.715 0.465 0.254
0.003 0.510 0.013
0.495 0.490 0.503
0.529 0.248 0.788
0.046 0.259 0.286
0.249 0.788 0.533
0.752 0.706 0.965
0.213 0.964 0.250
0.723 0.954 0.466
0.735 0.462 0.509
0.986 0.264 0.034
0.963 0.726 0.451
0.774 0.511 0.046
0.538 0.991 0.765
0.032 0.275 0.545
0.275 0.226 0.261
0.230 0.762 0.776
0.006 0.739 0.966
0.455 0.228 0.992
0.262 0.534 0.485
0.245 0.728 0.270
0.045 0.032 0.773
0.493 0.462 0.730
0.272 0.049 0.532
0.512 0.548 0.270
0.950 0.965 0.224
0.765 0.274 0.727
0.551 0.777 0.020
0.769 0.234 0.227
0.234 0.489 0.956
0.725 0.773 0.736
0.467 0.011 0.235
```



DFT (PBE) results for an optimized crystal structure of Hf2N2O.

Its formation energy is -2.38 eV/atom. The value obtained for the total energy after the MP2020 corrections is -427.38 eV per cell. Its crystal system is triclinic.

Cell and atoms, written as POSCAR:
```
Hf2N2O
1.0
8.692 0.000 0.000
-2.876 8.248 0.000
-2.903 -4.121 7.145
Hf N O
16 16 8
direct
0.000 0.500 0.997
0.538 0.751 0.286
0.247 0.714 0.463
0.252 0.216 0.966
0.957 0.243 0.215
0.226 0.965 0.258
0.499 0.001 0.000
0.500 0.490 0.497
0.781 0.037 0.749
0.711 0.473 0.262
0.999 0.999 0.510
0.287 0.528 0.737
0.044 0.763 0.786
0.747 0.284 0.534
0.745 0.780 0.030
0.461 0.248 0.708
0.271 0.733 0.222
0.223 0.450 0.460
0.263 0.772 0.728
0.776 0.726 0.257
0.274 0.013 0.048
0.454 0.465 0.228
0.987 0.959 0.731
0.237 0.964 0.511
0.225 0.275 0.741
0.547 0.539 0.774
0.468 0.227 0.456
0.728 0.986 0.953
0.741 0.229 0.272
0.776 0.549 0.538
0.756 0.031 0.486
0.732 0.269 0.783
0.955 0.725 0.991
0.964 0.507 0.231
0.492 0.766 0.038
0.046 0.278 0.012
0.013 0.043 0.266
0.531 0.775 0.545
0.038 0.494 0.771
0.507 0.233 0.963
```



DFT (PBE) results for an optimized crystal structure of Hf2N2O.

The value obtained for the size of the total moment is 0.000 μB/atom. Its formation energy is -2.30 eV/atom. The value obtained for the total energy after the MP2020 corrections is -318.31 eV per cell. Its crystal system is monoclinic.

Cell and atoms, written as POSCAR:
```
Hf2N2O
1.0
3.276 0.000 0.000
0.000 8.121 0.000
0.000 2.272 13.568
Hf N O
12 12 6
direct
0.500 0.822 0.008
0.500 0.453 0.120
0.000 0.810 0.223
0.000 0.170 0.283
0.500 0.501 0.391
0.500 0.855 0.438
0.000 0.120 0.570
0.000 0.505 0.616
0.500 0.827 0.719
0.500 0.185 0.782
0.000 0.555 0.879
0.000 0.195 0.983
0.500 0.676 0.181
0.500 0.337 0.285
0.500 0.982 0.266
0.000 0.691 0.371
0.500 0.618 0.535
0.500 0.966 0.568
0.000 0.025 0.727
0.000 0.664 0.716
0.000 0.334 0.810
0.500 0.065 0.929
0.500 0.730 0.874
0.500 0.387 0.974
0.000 0.622 0.034
0.000 0.281 0.130
0.000 0.940 0.071
0.000 0.026 0.424
0.000 0.359 0.466
0.500 0.299 0.627
```



DFT (PBE) results for an optimized crystal structure of Hf2N2O.

The value obtained for the size of the total moment is 0.000 μB/atom. Its formation energy is -2.29 eV/atom. The value obtained for the total energy after the MP2020 corrections is -211.99 eV per cell. Its crystal system is monoclinic.

Cell and atoms, written as POSCAR:
```
Hf2N2O
1.0
-3.158 -2.110 -3.964
4.549 -3.004 -2.025
-1.382 -6.383 4.499
Hf N O
8 8 4
direct
0.000 0.279 0.143
0.000 0.279 0.643
0.488 0.211 0.354
0.512 0.211 0.854
0.488 0.789 0.146
0.512 0.789 0.646
0.000 0.721 0.357
0.000 0.721 0.857
0.652 0.152 0.100
0.348 0.152 0.600
0.284 0.500 0.250
0.716 0.500 0.750
0.652 0.848 0.400
0.348 0.848 0.900
0.192 0.000 0.250
0.808 0.000 0.750
0.847 0.351 0.399
0.153 0.351 0.899
0.847 0.649 0.101
0.153 0.649 0.601
```



DFT (PBE) results for an optimized crystal structure of Hf2N2O.

Its formation energy is -2.38 eV/atom. The value obtained for the total energy after the MP2020 corrections is -427.68 eV per cell. Its crystal system is triclinic.

Cell and atoms, written as POSCAR:
```
Hf2N2O
1.0
8.719 0.000 0.000
-2.866 8.238 0.000
-2.922 -4.100 7.129
Hf N O
16 16 8
direct
0.489 0.491 0.501
0.789 0.537 0.243
0.529 0.750 0.280
0.031 0.744 0.790
0.705 0.964 0.749
0.747 0.715 0.973
0.748 0.215 0.466
0.251 0.292 0.034
0.008 0.006 0.496
0.509 0.999 0.001
0.256 0.787 0.531
0.000 0.511 0.002
0.289 0.037 0.255
0.465 0.251 0.715
0.974 0.250 0.220
0.213 0.456 0.750
0.229 0.262 0.267
0.461 0.730 0.489
0.493 0.957 0.227
0.042 0.530 0.275
0.547 0.275 0.514
0.760 0.771 0.233
0.956 0.470 0.727
0.005 0.234 0.461
0.032 0.774 0.042
0.741 0.969 0.010
0.512 0.044 0.775
0.223 0.982 0.450
0.234 0.223 0.772
0.273 0.542 0.038
0.727 0.453 0.968
0.463 0.519 0.738
0.718 0.272 0.236
0.775 0.736 0.720
0.536 0.479 0.258
0.965 0.223 0.945
0.264 0.033 0.986
0.778 0.020 0.555
0.272 0.734 0.766
0.991 0.764 0.541
```



Repeat the third record exactly.
DFT (PBE) results for an optimized crystal structure of Hf2N2O.

Its formation energy is -2.39 eV/atom. The value obtained for the total energy after the MP2020 corrections is -427.83 eV per cell. Its crystal system is triclinic.

Cell and atoms, written as POSCAR:
```
Hf2N2O
1.0
8.706 0.000 0.000
-2.897 8.230 0.000
-2.892 -4.088 7.149
Hf N O
16 16 8
direct
0.010 0.497 0.996
0.748 0.532 0.289
0.224 0.754 0.473
0.704 0.743 0.958
0.255 0.963 0.213
0.043 0.293 0.257
0.998 0.005 0.508
0.492 0.998 0.997
0.965 0.713 0.740
0.529 0.793 0.249
0.512 0.510 0.517
0.464 0.216 0.758
0.752 0.032 0.783
0.283 0.245 0.027
0.789 0.250 0.531
0.249 0.464 0.713
0.034 0.264 0.993
0.549 0.276 0.036
0.268 0.725 0.236
0.469 0.958 0.726
0.013 0.771 0.540
0.458 0.730 0.967
0.271 0.542 0.505
0.985 0.221 0.446
0.224 0.232 0.769
0.761 0.988 0.534
0.530 0.046 0.273
0.740 0.773 0.733
0.516 0.464 0.739
0.224 0.967 0.957
0.723 0.452 0.483
0.044 0.512 0.775
0.949 0.484 0.224
0.961 0.736 0.019
0.771 0.759 0.226
0.238 0.016 0.461
0.263 0.228 0.276
0.730 0.277 0.765
0.774 0.035 0.048
0.490 0.535 0.261
```



Please write out number 3 again, unchanged.
DFT (PBE) results for an optimized crystal structure of Hf2N2O.

Its formation energy is -2.39 eV/atom. The value obtained for the total energy after the MP2020 corrections is -427.83 eV per cell. Its crystal system is triclinic.

Cell and atoms, written as POSCAR:
```
Hf2N2O
1.0
8.706 0.000 0.000
-2.897 8.230 0.000
-2.892 -4.088 7.149
Hf N O
16 16 8
direct
0.010 0.497 0.996
0.748 0.532 0.289
0.224 0.754 0.473
0.704 0.743 0.958
0.255 0.963 0.213
0.043 0.293 0.257
0.998 0.005 0.508
0.492 0.998 0.997
0.965 0.713 0.740
0.529 0.793 0.249
0.512 0.510 0.517
0.464 0.216 0.758
0.752 0.032 0.783
0.283 0.245 0.027
0.789 0.250 0.531
0.249 0.464 0.713
0.034 0.264 0.993
0.549 0.276 0.036
0.268 0.725 0.236
0.469 0.958 0.726
0.013 0.771 0.540
0.458 0.730 0.967
0.271 0.542 0.505
0.985 0.221 0.446
0.224 0.232 0.769
0.761 0.988 0.534
0.530 0.046 0.273
0.740 0.773 0.733
0.516 0.464 0.739
0.224 0.967 0.957
0.723 0.452 0.483
0.044 0.512 0.775
0.949 0.484 0.224
0.961 0.736 0.019
0.771 0.759 0.226
0.238 0.016 0.461
0.263 0.228 0.276
0.730 0.277 0.765
0.774 0.035 0.048
0.490 0.535 0.261
```



Copy entry 7 word for word.
DFT (PBE) results for an optimized crystal structure of Hf2N2O.

The value obtained for the size of the total moment is 0.000 μB/atom. Its formation energy is -2.29 eV/atom. The value obtained for the total energy after the MP2020 corrections is -106.02 eV per cell. Its crystal system is monoclinic.

Cell and atoms, written as POSCAR:
```
Hf2N2O
1.0
3.437 0.000 0.000
0.000 4.273 0.000
0.000 1.529 8.543
Hf N O
4 4 2
direct
0.250 0.788 0.894
0.250 0.625 0.329
0.750 0.375 0.671
0.750 0.212 0.106
0.750 0.828 0.751
0.750 0.716 0.097
0.250 0.284 0.903
0.250 0.172 0.249
0.250 0.312 0.561
0.750 0.688 0.439
```